[1]
Below is an optimized crystal structure of RbP4N7, with properties calculated at the PBE level.

## Properties
- ρ: 3.5 g/cm3
- ΔH_f (0 K): -689 meV/atom
- Final energy: -7.23 eV/atom

Lattice parameters (Å, degrees): 10.0056 12.4246 4.7265 90.00 90.00 90.00
Space group Pnma (No. 62)
Symmetry-distinct sites (fractional):
1 Rb 0.1461 0.2500 0.2325 [4 per cell]
2 P 0.0885 0.6300 0.2128 [8 per cell]
3 P 0.1573 0.9997 0.7223 [8 per cell]
4 N 0.0601 0.0997 0.6862 [8 per cell]
5 N 0.1167 0.6073 0.8832 [8 per cell]
6 N 0.1267 0.7500 0.2978 [4 per cell]
7 N 0.1996 0.5435 0.3851 [8 per cell]

[2]
Below is an optimized crystal structure of Rb3P6N11, with properties calculated at the PBE level.

## Properties
- ρ: 3.3 g/cm3
- ΔH_f (0 K): -801 meV/atom
- Final energy: -6.96 eV/atom

Lattice parameters (Å, degrees): 10.6142 10.6142 10.6142 90.00 90.00 90.00
Space group P4_132 (No. 213)
Symmetry-distinct sites (fractional):
1 Rb 0.0108 0.4892 0.5108 [8 per cell]
2 Rb 0.1250 0.6250 0.8750 [4 per cell]
3 P 0.0420 0.8204 0.5470 [24 per cell]
4 N 0.0109 0.3452 0.2770 [24 per cell]
5 N 0.0518 0.9482 0.4482 [8 per cell]
6 N 0.0594 0.8750 0.6906 [12 per cell]

[3]
Below is an optimized crystal structure of P2SN6, with properties calculated at the PBE level.

## Properties
- ρ: 0.9 g/cm3
- Size of the total moment: 0.000 μB/cell
- ΔH_f (0 K): 108 meV/atom
- Final energy: -6.82 eV/atom

Lattice parameters (Å, degrees): 12.8258 8.5157 12.0773 90.00 101.54 90.00
Space group P2_1/c (No. 14)
Symmetry-distinct sites (fractional):
1 P 0.2145 0.0204 0.3170 [4 per cell]
2 P 0.2763 0.5543 0.5929 [4 per cell]
3 S 0.3194 0.1821 0.3604 [4 per cell]
4 N 0.0205 0.6817 0.4062 [4 per cell]
5 N 0.0347 0.6604 0.3195 [4 per cell]
6 N 0.2171 0.5710 0.6946 [4 per cell]
7 N 0.3038 0.5629 0.4776 [4 per cell]
8 N 0.3782 0.5675 0.2387 [4 per cell]
9 N 0.4270 0.6691 0.2771 [4 per cell]

[4]
Below is an optimized crystal structure of SiPN3, with properties calculated at the PBE level.

## Properties
- ρ: 2.9 g/cm3
- Size of the total moment: 0.000 μB/cell
- ΔH_f (0 K): -869 meV/atom
- Final energy: -7.82 eV/atom

Lattice parameters (Å, degrees): 5.2760 4.6966 5.2930 90.00 119.73 90.00
Space group P2_1 (No. 4)
Symmetry-distinct sites (fractional):
1 Si 0.1746 0.0000 0.1761 [2 per cell]
2 P 0.4939 0.4917 0.1656 [2 per cell]
3 N 0.1675 0.3548 0.0728 [2 per cell]
4 N 0.2692 0.9295 0.5168 [2 per cell]
5 N 0.4155 0.8385 0.0693 [2 per cell]

[5]
Below is an optimized crystal structure of SrP2N4, with properties calculated at the PBE level.

## Properties
- ρ: 3.9 g/cm3
- ΔH_f (0 K): -1074 meV/atom
- Final energy: -7.42 eV/atom

Lattice parameters (Å, degrees): 17.2529 17.2529 8.1898 90.00 90.00 120.00
Space group P6_3 (No. 173)
Symmetry-distinct sites (fractional):
1 Sr 0.0000 0.0000 0.0000 [2 per cell]
2 Sr 0.0042 0.4809 0.4803 [6 per cell]
3 Sr 0.1397 0.3314 0.4717 [6 per cell]
4 Sr 0.1514 0.8182 0.9725 [6 per cell]
5 Sr 0.3333 0.6667 0.4529 [2 per cell]
6 Sr 0.3333 0.6667 0.9538 [2 per cell]
7 P 0.0003 0.3298 0.7838 [6 per cell]
8 P 0.0010 0.6653 0.6684 [6 per cell]
9 P 0.0065 0.8384 0.6662 [6 per cell]
10 P 0.0066 0.8414 0.2858 [6 per cell]
11 P 0.1641 0.5081 0.1669 [6 per cell]
12 P 0.1653 0.5052 0.7862 [6 per cell]
13 P 0.1726 0.6775 0.2854 [6 per cell]
14 P 0.1738 0.6738 0.6663 [6 per cell]
15 N 0.9996 0.3319 0.9755 [6 per cell]
16 N 0.0297 0.7642 0.7488 [6 per cell]
17 N 0.0379 0.2633 0.7237 [6 per cell]
18 N 0.0410 0.8594 0.4760 [6 per cell]
19 N 0.0588 0.9323 0.7680 [6 per cell]
20 N 0.0693 0.4289 0.7050 [6 per cell]
21 N 0.0692 0.6304 0.7310 [6 per cell]
22 N 0.0964 0.8990 0.1734 [6 per cell]
23 N 0.1002 0.4050 0.2365 [6 per cell]
24 N 0.1005 0.7045 0.2076 [6 per cell]
25 N 0.1343 0.5697 0.2731 [6 per cell]
26 N 0.1492 0.5250 0.9756 [6 per cell]
27 N 0.1926 0.7095 0.4774 [6 per cell]
28 N 0.2046 0.5982 0.6821 [6 per cell]
29 N 0.2332 0.7607 0.7835 [6 per cell]
30 N 0.2678 0.7302 0.1878 [6 per cell]

[6]
Below is an optimized crystal structure of TiPN3, with properties calculated at the PBE level.

## Properties
- ρ: 3.1 g/cm3
- Size of the total moment: 0.000 μB/cell
- ΔH_f (0 K): -1008 meV/atom
- Final energy: -8.45 eV/atom

Lattice parameters (Å, degrees): 2.8348 5.3457 8.5799 90.00 90.00 90.00
Space group Amm2 (No. 38)
Symmetry-distinct sites (fractional):
1 Ti 0.0000 0.0000 0.0000 [2 per cell]
2 P 0.5000 0.0000 0.6534 [2 per cell]
3 N 0.0000 0.0000 0.7651 [2 per cell]
4 N 0.5000 0.2454 0.0521 [4 per cell]

[7]
Below is an optimized crystal structure of TiPN3, with properties calculated at the PBE level.

## Properties
- ρ: 4.0 g/cm3
- ΔH_f (0 K): -1022 meV/atom
- Final energy: -8.47 eV/atom

Lattice parameters (Å, degrees): 9.4172 8.7145 4.9913 90.00 101.64 90.00
Space group C2/c (No. 15)
Symmetry-distinct sites (fractional):
1 Ti 0.0000 0.1041 0.2500 [4 per cell]
2 Ti 0.0000 0.2824 0.7500 [4 per cell]
3 P 0.2002 0.4136 0.2944 [8 per cell]
4 N 0.1194 0.2664 0.1315 [8 per cell]
5 N 0.1203 0.0950 0.6387 [8 per cell]
6 N 0.1456 0.4351 0.5924 [8 per cell]

[8]
Below is an optimized crystal structure of U2PN2, with properties calculated at the PBE level.

## Properties
- ρ: 10.9 g/cm3
- ΔH_f (0 K): -1509 meV/atom
- Final energy: -10.30 eV/atom

Lattice parameters (Å, degrees): 3.7973 3.7973 6.5377 90.00 90.00 120.00
Space group P-3m1 (No. 164)
Symmetry-distinct sites (fractional):
1 U 0.3333 0.6667 0.2193 [2 per cell]
2 P 0.0000 0.0000 0.5000 [1 per cell]
3 N 0.3333 0.6667 0.8712 [2 per cell]

Question: What is the ΔH_f (0 K) in the first record?
Answer: -689 meV/atom